Entry 1:
A plane-wave DFT calculation with PBE-GGA was carried out for CaGeO3 after structural relaxation.

Cell: 7.014 7.014 11.000 Å, 108.01 108.01 60.20°
Element x y z (fractional)
Ca 0.000 0.500 0.000
Ca 0.155 0.671 0.501
Ca 0.329 0.845 0.999
Ca 0.500 0.000 0.500
Ca 0.671 0.155 0.001
Ca 0.845 0.329 0.499
Ge 0.148 0.852 0.250
Ge 0.313 0.419 0.755
Ge 0.419 0.313 0.255
Ge 0.581 0.687 0.745
Ge 0.687 0.581 0.245
Ge 0.852 0.148 0.750
O 0.003 0.890 0.095
O 0.110 0.997 0.405
O 0.168 0.368 0.600
O 0.172 0.582 0.252
O 0.279 0.471 0.913
O 0.336 0.664 0.750
O 0.368 0.168 0.100
O 0.418 0.828 0.248
O 0.471 0.279 0.413
O 0.529 0.721 0.587
O 0.582 0.172 0.752
O 0.632 0.832 0.900
O 0.664 0.336 0.250
O 0.721 0.529 0.087
O 0.828 0.418 0.748
O 0.832 0.632 0.400
O 0.890 0.003 0.595
O 0.997 0.110 0.905

Summary:
**Symmetry**: No. 15

Entry 2:
A plane-wave DFT calculation with PBE-GGA was carried out for LiS after structural relaxation.

Cell: 7.759 7.759 7.759 Å, 144.13 144.13 51.64°
Element x y z (fractional)
Li 0.000 0.500 0.500
Li 0.223 0.223 0.000
Li 0.500 0.000 0.500
Li 0.777 0.777 0.000
S 0.222 0.537 0.000
S 0.463 0.463 0.685
S 0.537 0.222 0.000
S 0.778 0.778 0.315

Summary:
**Symmetry**: No. 121

Entry 3:
A plane-wave DFT calculation with PBE-GGA was carried out for NaTl after structural relaxation.

Cell: 5.429 5.429 5.429 Å, 60.00 60.00 60.00°
Element x y z (fractional)
Na 0.125 0.125 0.125
Na 0.875 0.875 0.875
Tl 0.375 0.375 0.375
Tl 0.625 0.625 0.625

Summary:
**Symmetry**: No. 227

Entry 4:
A plane-wave DFT calculation with PBE-GGA was carried out for La4C2I5 after structural relaxation.

Cell: 10.482 10.482 9.032 Å, 103.48 103.48 22.89°
Element x y z (fractional)
La 0.001 0.001 0.191
La 0.349 0.349 0.918
La 0.651 0.651 0.082
La 0.999 0.999 0.809
C 0.465 0.465 0.983
C 0.535 0.535 0.017
I 0.162 0.162 0.358
I 0.166 0.166 0.814
I 0.500 0.500 0.500
I 0.834 0.834 0.186
I 0.838 0.838 0.642

Summary:
**Symmetry**: No. 12

Entry 5:
A plane-wave DFT calculation with PBE-GGA was carried out for Lu2Ga3Ni after structural relaxation.

Cell: 5.444 5.444 6.893 Å, 128.16 128.16 46.40°
Element x y z (fractional)
Lu 0.000 0.000 0.000
Lu 0.093 0.093 0.596
Ga 0.382 0.382 0.202
Ga 0.694 0.694 0.985
Ga 0.720 0.720 0.417
Ni 0.378 0.378 0.579

Summary:
**Symmetry**: No. 8

Entry 6:
A plane-wave DFT calculation with PBE-GGA was carried out for NdLu3 after structural relaxation.

Cell: 7.150 7.150 5.633 Å, 90.00 90.00 120.00°
Element x y z (fractional)
Nd 0.333 0.667 0.250
Nd 0.667 0.333 0.750
Lu 0.164 0.328 0.750
Lu 0.164 0.836 0.750
Lu 0.328 0.164 0.250
Lu 0.672 0.836 0.750
Lu 0.836 0.164 0.250
Lu 0.836 0.672 0.250

Summary:
**Symmetry**: No. 194

Entry 7:
A plane-wave DFT calculation with PBE-GGA was carried out for Rb2U6Pd4Se17 after structural relaxation.

Cell: 10.730 10.730 13.432 Å, 90.00 90.00 90.00°
Element x y z (fractional)
Rb 0.000 0.000 0.221
Rb 0.000 0.000 0.779
Rb 0.500 0.500 0.279
Rb 0.500 0.500 0.721
U 0.000 0.500 0.250
U 0.000 0.500 0.750
U 0.118 0.241 0.500
U 0.241 0.882 0.500
U 0.259 0.382 0.000
U 0.382 0.741 0.000
U 0.500 0.000 0.250
U 0.500 0.000 0.750
U 0.618 0.259 0.000
U 0.741 0.618 0.000
U 0.759 0.118 0.500
U 0.882 0.759 0.500
Pd 0.068 0.637 0.000
Pd 0.137 0.568 0.500
Pd 0.363 0.068 0.000
Pd 0.432 0.137 0.500
Pd 0.568 0.863 0.500
Pd 0.637 0.932 0.000
Pd 0.863 0.432 0.500
Pd 0.932 0.363 0.000
Se 0.000 0.000 0.500
Se 0.079 0.289 0.132
Se 0.079 0.289 0.868
Se 0.091 0.725 0.366
Se 0.091 0.725 0.634
Se 0.211 0.421 0.368
Se 0.211 0.421 0.632
Se 0.225 0.591 0.134
Se 0.225 0.591 0.866
Se 0.275 0.091 0.366
Se 0.275 0.091 0.634
Se 0.289 0.921 0.132
Se 0.289 0.921 0.868
Se 0.409 0.225 0.134
Se 0.409 0.225 0.866
Se 0.421 0.789 0.368
Se 0.421 0.789 0.632
Se 0.500 0.500 0.000
Se 0.579 0.211 0.368
Se 0.579 0.211 0.632
Se 0.591 0.775 0.134
Se 0.591 0.775 0.866
Se 0.711 0.079 0.132
Se 0.711 0.079 0.868
Se 0.725 0.909 0.366
Se 0.725 0.909 0.634
Se 0.775 0.409 0.134
Se 0.775 0.409 0.866
Se 0.789 0.579 0.368
Se 0.789 0.579 0.632
Se 0.909 0.275 0.366
Se 0.909 0.275 0.634
Se 0.921 0.711 0.132
Se 0.921 0.711 0.868

Summary:
**Symmetry**: No. 128

Entry 8:
A plane-wave DFT calculation with PBE-GGA was carried out for Ag3F8 after structural relaxation.

Cell: 5.233 11.401 7.169 Å, 90.00 129.47 90.00°
Element x y z (fractional)
Ag 0.000 0.000 0.000
Ag 0.000 0.500 0.500
Ag 0.255 0.184 0.525
Ag 0.255 0.316 0.025
Ag 0.745 0.684 0.975
Ag 0.745 0.816 0.475
F 0.046 0.717 0.760
F 0.046 0.783 0.260
F 0.089 0.035 0.334
F 0.089 0.465 0.834
F 0.415 0.171 0.215
F 0.415 0.329 0.715
F 0.457 0.588 0.673
F 0.457 0.912 0.173
F 0.543 0.088 0.827
F 0.543 0.412 0.327
F 0.585 0.671 0.285
F 0.585 0.829 0.785
F 0.911 0.535 0.166
F 0.911 0.965 0.666
F 0.954 0.217 0.740
F 0.954 0.283 0.240

Summary:
**Symmetry**: No. 14

Entry 9:
A plane-wave DFT calculation with PBE-GGA was carried out for Tb2Ga3Co14 after structural relaxation.

Cell: 6.355 6.355 6.355 Å, 82.68 82.68 82.68°
Element x y z (fractional)
Tb 0.000 0.000 0.000
Tb 0.325 0.325 0.325
Ga 0.319 0.319 0.821
Ga 0.319 0.821 0.319
Ga 0.821 0.319 0.319
Co 0.006 0.006 0.521
Co 0.006 0.521 0.006
Co 0.162 0.671 0.671
Co 0.381 0.667 0.953
Co 0.381 0.953 0.667
Co 0.521 0.006 0.006
Co 0.574 0.574 0.574
Co 0.667 0.381 0.953
Co 0.667 0.953 0.381
Co 0.671 0.162 0.671
Co 0.671 0.671 0.162
Co 0.762 0.762 0.762
Co 0.953 0.381 0.667
Co 0.953 0.667 0.381

Summary:
**Symmetry**: No. 160

Entry 10:
A plane-wave DFT calculation with PBE-GGA was carried out for Fe7Co after structural relaxation.

Cell: 4.955 4.955 4.955 Å, 109.47 109.47 109.47°
Element x y z (fractional)
Fe 0.000 0.000 0.500
Fe 0.000 0.500 0.000
Fe 0.000 0.500 0.500
Fe 0.500 0.000 0.000
Fe 0.500 0.000 0.500
Fe 0.500 0.500 0.000
Fe 0.500 0.500 0.500
Co 0.000 0.000 0.000

Summary:
**Symmetry**: No. 229

Entry 11:
A plane-wave DFT calculation with PBE-GGA was carried out for Nd2Mn22C3 after structural relaxation.

Cell: 7.717 7.717 6.451 Å, 114.35 114.35 79.32°
Element x y z (fractional)
Nd 0.248 0.248 0.374
Nd 0.752 0.752 0.626
Mn 0.000 0.000 0.500
Mn 0.000 0.500 0.000
Mn 0.075 0.829 0.142
Mn 0.079 0.677 0.433
Mn 0.171 0.925 0.858
Mn 0.173 0.588 0.823
Mn 0.250 0.250 0.881
Mn 0.322 0.582 0.258
Mn 0.323 0.921 0.567
Mn 0.412 0.827 0.177
Mn 0.418 0.678 0.742
Mn 0.500 0.000 0.000
Mn 0.500 0.500 0.000
Mn 0.582 0.322 0.258
Mn 0.588 0.173 0.823
Mn 0.677 0.079 0.433
Mn 0.678 0.418 0.742
Mn 0.750 0.750 0.119
Mn 0.827 0.412 0.177
Mn 0.829 0.075 0.142
Mn 0.921 0.323 0.567
Mn 0.925 0.171 0.858
C 0.000 0.500 0.500
C 0.500 0.000 0.500
C 0.500 0.500 0.500

Summary:
**Symmetry**: No. 12

Entry 12:
A plane-wave DFT calculation with PBE-GGA was carried out for Ca2BrN after structural relaxation.

Cell: 7.257 7.257 7.257 Å, 29.74 29.74 29.74°
Element x y z (fractional)
Ca 0.225 0.225 0.225
Ca 0.775 0.775 0.775
Br 0.000 0.000 0.000
N 0.500 0.500 0.500

Summary:
**Symmetry**: No. 166

In order of appearance, electronic total energy = -6.6022 -3.7449 -1.9553 -5.3517 -4.6162 -4.5719 -6.1725 -3.1843 -6.4103 -8.3232 -8.8701 -4.9081 eV per atom.
In order of appearance, volume = 14.62 19.94 28.29 34.09 18.26 31.17 26.66 15.01 13.21 11.70 11.81 20.82 Å³/atom.